# NaAgC2O4 (PBE, optimized geometry)
data_NaAgC2O4
_cell_length_a 3.5555
_cell_length_b 5.3161
_cell_length_c 11.0957
_cell_angle_alpha 90.00
_cell_angle_beta 96.17
_cell_angle_gamma 90.00
_space_group_name_H-M_alt 'P 1 c 1'
_space_group_IT_number 7
loop_
_space_group_symop_operation_xyz
'x,y,z'
'x,-y,z+1/2'
loop_
_atom_site_label
_atom_site_type_symbol
_atom_site_fract_x
_atom_site_fract_y
_atom_site_fract_z
Na1 Na 0.0000 0.1898 0.0000
Ag1 Ag 0.3892 0.3233 0.3027
C1 C 0.5729 0.2893 0.5843
C2 C 0.7918 0.1831 0.7044
O1 O 0.4565 0.4861 0.0836
O2 O 0.5352 0.1377 0.4946
O3 O 0.7882 0.3101 0.8012
O4 O 0.9617 0.0239 0.1939
# **Formation enthalpy at 0 K**: -1137 kJ/mol of formula units

=====

# Ag2CO3 (PBE, optimized geometry)
data_Ag2CO3
_cell_length_a 3.3574
_cell_length_b 9.7817
_cell_length_c 5.0315
_cell_angle_alpha 90.00
_cell_angle_beta 97.19
_cell_angle_gamma 90.00
_space_group_name_H-M_alt 'P 1 21/m 1'
_space_group_IT_number 11
loop_
_space_group_symop_operation_xyz
'x,y,z'
'-x,-y,-z'
'-x,y+1/2,-z'
'x,-y+1/2,z'
loop_
_atom_site_label
_atom_site_type_symbol
_atom_site_fract_x
_atom_site_fract_y
_atom_site_fract_z
Ag1 Ag 0.2393 0.0696 0.2016
C1 C 0.1902 0.7500 0.2826
O1 O 0.0042 0.2500 0.9602
O2 O 0.2853 0.6354 0.4033
# **Offset from the most stable computed form**: 0.0000 eV per atom
# **Formation enthalpy at 0 K**: -633 kJ/mol of formula units

=====

# AgC2O2 (PBE, optimized geometry)
data_AgC2O2
_cell_length_a 20.3327
_cell_length_b 7.2089
_cell_length_c 7.6356
_cell_angle_alpha 90.00
_cell_angle_beta 103.60
_cell_angle_gamma 90.00
_space_group_name_H-M_alt 'C 1 2 1'
_space_group_IT_number 5
loop_
_space_group_symop_operation_xyz
'x,y,z'
'-x,y,-z'
'x+1/2,y+1/2,z'
'-x+1/2,y+1/2,-z'
loop_
_atom_site_label
_atom_site_type_symbol
_atom_site_fract_x
_atom_site_fract_y
_atom_site_fract_z
Ag1 Ag 0.0841 0.0000 0.4412
Ag2 Ag 0.0866 0.9856 0.9439
Ag3 Ag 0.1557 0.2996 0.6899
Ag4 Ag 0.1558 0.6845 0.1884
C1 C 0.0060 0.3554 0.7290
C2 C 0.0056 0.6335 0.2293
C3 C 0.0476 0.4874 0.3354
C4 C 0.0478 0.5012 0.8360
C5 C 0.2007 0.8028 0.7303
C6 C 0.2039 0.1795 0.2283
C7 C 0.2452 0.7443 0.6124
C8 C 0.2457 0.2405 0.1139
O1 O 0.0147 0.1845 0.7041
O2 O 0.0155 0.8066 0.1993
O3 O 0.1073 0.5025 0.9343
O4 O 0.1076 0.4879 0.4359
O5 O 0.1462 0.8825 0.7049
O6 O 0.1471 0.1011 0.2073
O7 O 0.2426 0.7494 0.4464
O8 O 0.2438 0.2374 0.9476
# **Offset from the most stable computed form**: 0.0191 eV per atom
# **Formation enthalpy at 0 K**: -303 kJ/mol of formula units

=====

# Ag2CO3 (PBE, optimized geometry)
data_Ag2CO3
_cell_length_a 6.7950
_cell_length_b 15.8976
_cell_length_c 9.1775
_cell_angle_alpha 90.00
_cell_angle_beta 90.00
_cell_angle_gamma 90.00
_space_group_name_H-M_alt 'I m a 2'
_space_group_IT_number 46
loop_
_space_group_symop_operation_xyz
'x,y,z'
'-x,-y,z'
'-x+1/2,y,z'
'x+1/2,-y,z'
'x+1/2,y+1/2,z+1/2'
'-x+1/2,-y+1/2,z+1/2'
'-x,y+1/2,z+1/2'
'x,-y+1/2,z+1/2'
loop_
_atom_site_label
_atom_site_type_symbol
_atom_site_fract_x
_atom_site_fract_y
_atom_site_fract_z
Ag1 Ag 0.0000 0.0000 0.0000
Ag2 Ag 0.9998 0.1632 0.4894
Ag3 Ag 0.2500 0.0035 0.6945
Ag4 Ag 0.2500 0.1823 0.1370
Ag5 Ag 0.2500 0.6859 0.6474
C1 C 0.9996 0.1666 0.8263
C2 C 0.2500 0.0000 0.3264
O1 O 0.0015 0.6396 0.4598
O2 O 0.0018 0.2469 0.8001
O3 O 0.0018 0.6134 0.2189
O4 O 0.2500 0.0819 0.3361
O5 O 0.2500 0.5361 0.6987
O6 O 0.2500 0.5458 0.9444
# **Offset from the most stable computed form**: 0.0275 eV per atom
# **Formation enthalpy at 0 K**: -617 kJ/mol of formula units

=====

# Ag2CO3 (PBE, optimized geometry)
data_Ag2CO3
_cell_length_a 9.1601
_cell_length_b 9.1601
_cell_length_c 3.4083
_cell_angle_alpha 90.00
_cell_angle_beta 90.00
_cell_angle_gamma 120.00
_space_group_name_H-M_alt 'P -6'
_space_group_IT_number 174
loop_
_space_group_symop_operation_xyz
'x,y,z'
'-x+y,-x,-z'
'-y,x-y,z'
'x,y,-z'
'-x+y,-x,z'
'-y,x-y,-z'
loop_
_atom_site_label
_atom_site_type_symbol
_atom_site_fract_x
_atom_site_fract_y
_atom_site_fract_z
Ag1 Ag 0.0083 0.6676 0.0000
Ag2 Ag 0.3307 0.0306 0.5000
C1 C 0.0000 0.0000 0.0000
C2 C 0.3333 0.6667 0.5000
C3 C 0.6667 0.3333 0.0000
O1 O 0.0554 0.1614 0.0000
O2 O 0.1691 0.5944 0.5000
O3 O 0.5593 0.1721 0.0000
# **Offset from the most stable computed form**: 0.0296 eV per atom
# **Formation enthalpy at 0 K**: -616 kJ/mol of formula units

=====

# Ag2CO3 (PBE, optimized geometry)
data_Ag2CO3
_cell_length_a 9.3818
_cell_length_b 9.3818
_cell_length_c 6.5425
_cell_angle_alpha 90.00
_cell_angle_beta 90.00
_cell_angle_gamma 120.00
_space_group_name_H-M_alt 'P 3 1 c'
_space_group_IT_number 159
loop_
_space_group_symop_operation_xyz
'x,y,z'
'-y,x-y,z'
'-x+y,-x,z'
'y,x,z+1/2'
'x-y,-y,z+1/2'
'-x,-x+y,z+1/2'
loop_
_atom_site_label
_atom_site_type_symbol
_atom_site_fract_x
_atom_site_fract_y
_atom_site_fract_z
Ag1 Ag 0.0250 0.6777 0.0000
Ag2 Ag 0.0272 0.3360 0.7801
C1 C 0.0000 0.0000 0.3854
C2 C 0.3333 0.6667 0.2216
C3 C 0.3333 0.6667 0.7152
O1 O 0.0798 0.1597 0.3852
O2 O 0.1738 0.5978 0.7158
O3 O 0.2377 0.7304 0.2238
# **Offset from the most stable computed form**: 0.0268 eV per atom
# **Formation enthalpy at 0 K**: -617 kJ/mol of formula units

=====

Values for calculated total energy, eV per atom, ordered as above
-6.430, -5.706, -6.590, -5.679, -5.677, -5.679